The following is a PBE+U calculation of crystalline VOF at its relaxed geometry, from the Materials Project database.

## Properties
Crystal system: monoclinic
E, eV per cell: -172.125
E_form, eV per atom: -2.806
Spin magnetization, μB per atom: 0.667

Unit cell a=6.225 b=4.714 c=9.982 alpha=90.00 beta=108.00 gamma=90.00
Space group P2_1 (No. 4)
One atom of each set of equivalent atoms:
V  0.049  0.000  0.358 x2
V  0.194  0.475  0.124 x2
V  0.316  0.975  0.875 x2
V  0.424  0.434  0.608 x2
O  0.013  0.790  0.786 x2
O  0.235  0.282  0.719 x2
O  0.355  0.149  0.463 x2
O  0.387  0.662  0.031 x2
F  0.110  0.176  0.976 x2
F  0.134  0.680  0.521 x2
F  0.264  0.766  0.274 x2
F  0.488  0.263  0.230 x2